(1)
Entry from the Materials Project database: an optimized crystal structure of InAsPt5 (PBE).

- ρ: 16.34 Mg/m³
- ΔH_f (0 K): -0.3331 eV/atom

Unit cell a=4.0650 b=4.0650 c=7.1648 alpha=90.00 beta=90.00 gamma=90.00
With the nearest neighbours (Å) after each atom.
Fractional coordinates of all 7 atoms:
In  0.5000  0.5000  0.0000  12 Pt 2.87-2.88
As  0.0000  0.0000  0.5000  8 Pt 2.55
Pt  0.0000  0.5000  0.2851  2 As 2.55
Pt  0.0000  0.5000  0.7149  2 As 2.55
Pt  0.5000  0.0000  0.2851  2 As 2.55
Pt  0.5000  0.0000  0.7149  2 As 2.55
Pt  0.0000  0.0000  0.0000  4 In 2.87, 8 Pt 2.88

=====

(2)
Entry from the Materials Project database: an optimized crystal structure of In2AsPt8 (PBE).

- ρ: 16.76 Mg/m³
- ΔH_f (0 K): -0.3425 eV/atom

Unit cell a=4.0447 b=4.0447 c=11.2935 alpha=90.00 beta=90.00 gamma=90.00
With the nearest neighbours (Å) after each atom.
Fractional coordinates of all 11 atoms:
In  0.5000  0.5000  0.8209  12 Pt 2.86-2.89
In  0.5000  0.5000  0.1791  12 Pt 2.86-2.89
As  0.0000  0.0000  0.5000  8 Pt 2.55
Pt  0.5000  0.0000  0.0000  8 Pt 2.86-2.87, 4 In 2.86
Pt  0.0000  0.5000  0.0000  8 Pt 2.86-2.87, 4 In 2.86
Pt  0.5000  0.0000  0.6376  2 As 2.55
Pt  0.0000  0.5000  0.6376  2 As 2.55
Pt  0.5000  0.0000  0.3624  2 As 2.55
Pt  0.0000  0.5000  0.3624  2 As 2.55
Pt  0.0000  0.0000  0.8196  4 In 2.86, 8 Pt 2.87-2.88
Pt  0.0000  0.0000  0.1804  4 In 2.86, 8 Pt 2.87-2.88

=====

(3)
Entry from the Materials Project database: an optimized crystal structure of In2SbAs (PBE).

- ρ: 5.36 Mg/m³
- ΔH_f (0 K): -0.1370 eV/atom

Unit cell a=7.8517 b=7.8517 c=7.8517 alpha=33.61 beta=33.61 gamma=33.61
With the nearest neighbours (Å) after each atom.
Fractional coordinates of all 4 atoms:
In  0.0049  0.0049  0.0049  1 As 2.67, 3 Sb 2.82
In  0.4951  0.4951  0.4951  3 As 2.74, 1 Sb 2.88
Sb  0.6247  0.6247  0.6247  4 In 2.82-2.88
As  0.1253  0.1253  0.1253  4 In 2.67-2.74